PrCoSb3 | PBE-GGA | optimized geometry

a b c (Å): 12.8554 6.2124 12.1702
angles (deg): 90.00 90.00 90.00
With the nearest neighbours (Å) after each atom.
Sites, in units of the cell vectors:
Pr (0.1972, 0.2242, 0.2500)  9 Sb 3.24-3.36, 2 Co 3.33
Pr (0.1972, 0.2758, 0.7500)  9 Sb 3.24-3.36, 2 Co 3.33
Pr (0.2007, 0.7500, 0.0000)  9 Sb 3.25-3.49, 2 Co 3.56
Pr (0.2007, 0.7500, 0.5000)  9 Sb 3.25-3.49, 2 Co 3.56
Pr (0.7993, 0.2500, 0.0000)  9 Sb 3.25-3.49, 2 Co 3.56
Pr (0.7993, 0.2500, 0.5000)  9 Sb 3.25-3.49, 2 Co 3.56
Pr (0.8028, 0.7242, 0.2500)  9 Sb 3.24-3.36, 2 Co 3.33
Pr (0.8028, 0.7758, 0.7500)  9 Sb 3.24-3.36, 2 Co 3.33
Co (0.4028, 0.0379, 0.6360)  6 Sb 2.58-2.65, 1 Co 2.77
Co (0.4028, 0.0379, 0.8640)  6 Sb 2.58-2.65, 1 Co 2.77
Co (0.4028, 0.4621, 0.1360)  6 Sb 2.58-2.65, 1 Co 2.77
Co (0.4028, 0.4621, 0.3640)  6 Sb 2.58-2.65, 1 Co 2.77
Co (0.5972, 0.5379, 0.6360)  6 Sb 2.58-2.65, 1 Co 2.77
Co (0.5972, 0.5379, 0.8640)  6 Sb 2.58-2.65, 1 Co 2.77
Co (0.5972, 0.9621, 0.1360)  6 Sb 2.58-2.65, 1 Co 2.77
Co (0.5972, 0.9621, 0.3640)  6 Sb 2.58-2.65, 1 Co 2.77
Sb (0.0025, 0.0133, 0.6242)  4 Sb 3.03-3.11, 4 Pr 3.33-3.38
Sb (0.0025, 0.0133, 0.8758)  4 Sb 3.03-3.11, 4 Pr 3.33-3.38
Sb (0.0025, 0.4867, 0.1242)  4 Sb 3.03-3.11, 4 Pr 3.33-3.38
Sb (0.0025, 0.4867, 0.3758)  4 Sb 3.03-3.11, 4 Pr 3.33-3.38
Sb (0.2827, 0.2500, 0.0000)  2 Co 2.62
Sb (0.2827, 0.2500, 0.5000)  2 Co 2.62
Sb (0.2882, 0.7315, 0.2500)  2 Co 2.63
Sb (0.2882, 0.7685, 0.7500)  2 Co 2.63
Sb (0.4450, 0.1155, 0.2500)  4 Co 2.58-2.62
Sb (0.4450, 0.3845, 0.7500)  4 Co 2.58-2.62
Sb (0.4724, 0.7500, 0.0000)  4 Co 2.60-2.65
Sb (0.4724, 0.7500, 0.5000)  4 Co 2.60-2.65
Sb (0.5276, 0.2500, 0.0000)  4 Co 2.60-2.65
Sb (0.5276, 0.2500, 0.5000)  4 Co 2.60-2.65
Sb (0.5550, 0.6155, 0.2500)  4 Co 2.58-2.62
Sb (0.5550, 0.8845, 0.7500)  4 Co 2.58-2.62
Sb (0.7118, 0.2315, 0.2500)  2 Co 2.63
Sb (0.7118, 0.2685, 0.7500)  2 Co 2.63
Sb (0.7173, 0.7500, 0.0000)  2 Co 2.62
Sb (0.7173, 0.7500, 0.5000)  2 Co 2.62
Sb (0.9975, 0.5133, 0.6242)  4 Sb 3.03-3.11, 4 Pr 3.33-3.38
Sb (0.9975, 0.5133, 0.8758)  4 Sb 3.03-3.11, 4 Pr 3.33-3.38
Sb (0.9975, 0.9867, 0.1242)  4 Sb 3.03-3.11, 4 Pr 3.33-3.38
Sb (0.9975, 0.9867, 0.3758)  4 Sb 3.03-3.11, 4 Pr 3.33-3.38

Results
Energy of formation   -0.687 eV per atom
Total energy   -5.4268 eV/atom
Total magnetization   0.000 μB/f.u.
Crystal system   orthorhombic


BaLa2Ti3O10 | PBE-GGA | optimized geometry

a b c (Å): 7.7410 14.5538 14.5538
angles (deg): 164.47 90.00 90.00
With the nearest neighbours (Å) after each atom.
Sites, in units of the cell vectors:
Ba (0.2500, 0.2339, 0.7661)  6 O 2.72-2.74
Ba (0.7500, 0.7661, 0.2339)  6 O 2.72-2.74
La (0.2500, 0.0843, 0.9358)  7 O 2.48-2.77
La (0.2500, 0.9328, 0.0856)  8 O 2.54-2.77
La (0.7500, 0.0856, 0.9328)  8 O 2.54-2.77
La (0.7500, 0.9358, 0.0843)  7 O 2.48-2.77
Ti (0.9998, 0.3550, 0.6468)  4 O 1.78-1.99
Ti (0.0000, 0.5025, 0.5025)  6 O 1.89-2.04
Ti (0.0002, 0.6468, 0.3550)  4 O 1.78-1.99
Ti (0.5002, 0.3550, 0.6468)  4 O 1.78-1.99
Ti (0.5000, 0.5025, 0.5025)  6 O 1.89-2.04
Ti (0.4998, 0.6468, 0.3550)  4 O 1.78-1.99
O (0.0000, 0.9836, 0.9836)  2 Ti 1.89-2.04
O (0.0040, 0.1281, 0.8636)  2 Ti 1.99-2.02
O (0.0137, 0.4164, 0.5509)  1 Ti 1.94
O (0.0248, 0.7063, 0.2916)  1 Ti 1.78
O (0.2500, 0.3610, 0.6326)  2 Ti 1.96
O (0.2500, 0.4740, 0.4653)  2 Ti 1.94
O (0.2500, 0.6261, 0.3681)  2 Ti 1.99
O (0.4752, 0.7063, 0.2916)  1 Ti 1.78
O (0.4863, 0.4164, 0.5509)  1 Ti 1.94
O (0.4960, 0.1281, 0.8636)  2 Ti 1.99-2.02
O (0.5000, 0.9836, 0.9836)  2 Ti 1.89-2.04
O (0.5040, 0.8636, 0.1281)  2 Ti 1.99-2.02
O (0.5137, 0.5509, 0.4164)  1 Ti 1.94
O (0.5248, 0.2916, 0.7063)  1 Ti 1.78
O (0.7500, 0.3681, 0.6261)  2 Ti 1.99
O (0.7500, 0.4653, 0.4740)  2 Ti 1.94
O (0.7500, 0.6326, 0.3610)  2 Ti 1.96
O (0.9752, 0.2916, 0.7063)  1 Ti 1.78
O (0.9863, 0.5509, 0.4164)  1 Ti 1.94
O (0.9960, 0.8636, 0.1281)  2 Ti 1.99-2.02

Results
Polymorph energy (0 for the lowest one)   0.000 eV/atom
Energy of formation   -3.683 eV per atom
Total energy   -8.5638 eV/atom
Total magnetization   0.004 μB/f.u.
Crystal system   orthorhombic


YAl3 | PBE-GGA | optimized geometry

a b c (Å): 7.9181 7.9181 7.9181
angles (deg): 46.09 46.09 46.09
With the nearest neighbours (Å) after each atom.
Sites, in units of the cell vectors:
Y (0.0000, 0.0000, 0.0000)  12 Al 3.08-3.10
Y (0.2181, 0.2181, 0.2181)  12 Al 3.03-3.11
Y (0.7819, 0.7819, 0.7819)  12 Al 3.03-3.11
Al (0.0000, 0.5000, 0.5000)  8 Al 2.89-3.10, 4 Y 3.03-3.10
Al (0.2634, 0.7028, 0.7028)  6 Al 2.72-2.89, 1 Y 3.04
Al (0.2972, 0.2972, 0.7366)  6 Al 2.72-2.89, 1 Y 3.04
Al (0.2972, 0.7366, 0.2972)  6 Al 2.72-2.89, 1 Y 3.04
Al (0.5000, 0.0000, 0.5000)  8 Al 2.89-3.10, 4 Y 3.03-3.10
Al (0.5000, 0.5000, 0.0000)  8 Al 2.89-3.10, 4 Y 3.03-3.10
Al (0.7028, 0.2634, 0.7028)  6 Al 2.72-2.89, 1 Y 3.04
Al (0.7028, 0.7028, 0.2634)  6 Al 2.72-2.89, 1 Y 3.04
Al (0.7366, 0.2972, 0.2972)  6 Al 2.72-2.89, 1 Y 3.04

Results
Energy of formation   -0.435 eV per atom
Total energy   -4.8610 eV/atom
Crystal system   trigonal


Ba2YMgBiO6 | PBE-GGA | optimized geometry

a b c (Å): 6.3391 6.3391 7.0749
angles (deg): 116.77 116.77 60.01
With the nearest neighbours (Å) after each atom.
Sites, in units of the cell vectors:
Ba (0.0000, 0.0000, 0.0000)  3 O 2.83-2.88
Ba (0.5982, 0.5982, 0.7914)  3 O 2.56
Y (0.2544, 0.2544, 0.7631)  3 O 2.14
Mg (0.4059, 0.4059, 0.2128)  3 O 1.93
Bi (0.7969, 0.7969, 0.3906)  3 O 2.19
O (0.0248, 0.5607, 0.6169)  1 Y 2.14, 1 Bi 2.19
O (0.0282, 0.0282, 0.6244)  1 Y 2.14, 1 Bi 2.19
O (0.0445, 0.5144, 0.0682)  1 Mg 1.93
O (0.5125, 0.5125, 0.0658)  1 Mg 1.93
O (0.5144, 0.0445, 0.0682)  1 Mg 1.93
O (0.5607, 0.0248, 0.6169)  1 Y 2.14, 1 Bi 2.19

Results
Polymorph energy (0 for the lowest one)   0.073 eV/atom
Energy of formation   -2.621 eV per atom
Total energy   -6.3812 eV/atom
Total magnetization   0.000 μB/f.u.
Crystal system   monoclinic


GeN2F5 | PBE-GGA | optimized geometry

a b c (Å): 5.5496 5.5496 8.3561
angles (deg): 90.00 90.00 90.00
With the nearest neighbours (Å) after each atom.
Sites, in units of the cell vectors:
Ge (0.2500, 0.2500, 0.2329)  5 F 1.74-1.80
Ge (0.7500, 0.7500, 0.7671)  5 F 1.74-1.80
N (0.2500, 0.2500, 0.7191)  4 F 2.21
N (0.2500, 0.7500, 0.0000)  8 F 2.78-2.92
N (0.7500, 0.2500, 0.0000)  8 F 2.78-2.92
N (0.7500, 0.7500, 0.2809)  4 F 2.21
F (0.0041, 0.5622, 0.7180)  1 Ge 1.80
F (0.0622, 0.9959, 0.2820)  1 Ge 1.80
F (0.2500, 0.2500, 0.0242)  1 Ge 1.74
F (0.4378, 0.5041, 0.2820)  1 Ge 1.80
F (0.4959, 0.9378, 0.7180)  1 Ge 1.80
F (0.5041, 0.0622, 0.2820)  1 Ge 1.80
F (0.5622, 0.4959, 0.7180)  1 Ge 1.80
F (0.7500, 0.7500, 0.9758)  1 Ge 1.74
F (0.9378, 0.0041, 0.7180)  1 Ge 1.80
F (0.9959, 0.4378, 0.2820)  1 Ge 1.80

Results
Polymorph energy (0 for the lowest one)   0.000 eV/atom
Energy of formation   -0.415 eV per atom
Total energy   -3.9844 eV/atom
Total magnetization   5.000 μB/f.u.
Crystal system   tetragonal


Si2H2O3 | PBE-GGA | optimized geometry

a b c (Å): 10.7942 10.7942 14.0360
angles (deg): 123.36 123.36 51.19
With the nearest neighbours (Å) after each atom.
Sites, in units of the cell vectors:
Si (0.0398, 0.5292, 0.7229)  2 O 1.65-1.71
Si (0.0533, 0.9306, 0.2355)  1 O 1.63
Si (0.0562, 0.9438, 0.5000)  1 O 1.63
Si (0.2792, 0.4635, 0.0397)  3 O 1.78-1.92
Si (0.3145, 0.4044, 0.2819)  1 O 1.64
Si (0.3202, 0.8262, 0.8077)  3 O 1.68-1.86
Si (0.3308, 0.8192, 0.0568)  2 O 1.66-1.70
Si (0.4044, 0.3145, 0.7819)  1 O 1.64
Si (0.4635, 0.2792, 0.5397)  3 O 1.78-1.92
Si (0.4874, 0.8636, 0.3816)  3 O 1.83-1.89
Si (0.5021, 0.8678, 0.6605)  3 O 1.77-1.92
Si (0.5292, 0.0398, 0.2229)  2 O 1.65-1.71
Si (0.5784, 0.9814, 0.9722)  2 O 1.62-1.82
Si (0.8192, 0.3308, 0.5568)  2 O 1.66-1.70
Si (0.8262, 0.3202, 0.3077)  3 O 1.68-1.86
Si (0.8636, 0.4874, 0.8816)  3 O 1.83-1.89
Si (0.8678, 0.5021, 0.1605)  3 O 1.77-1.92
Si (0.9306, 0.0533, 0.7355)  1 O 1.63
Si (0.9438, 0.0562, 0.0000)  1 O 1.63
Si (0.9814, 0.5784, 0.4722)  2 O 1.62-1.82
H (0.0699, 0.5416, 0.3330)  1 O 1.01
H (0.0704, 0.7603, 0.3038)  1 O 0.98
H (0.0741, 0.4635, 0.8704)  1 O 1.02
H (0.2644, 0.6111, 0.2321)  1 O 0.98
H (0.2700, 0.5439, 0.5644)  1 O 0.99
H (0.3076, 0.8068, 0.1967)  1 O 1.06
H (0.3127, 0.8293, 0.6440)  1 O 1.03
H (0.3885, 0.6112, 0.8685)  1 O 0.98
H (0.4635, 0.0741, 0.3704)  1 O 1.02
H (0.5416, 0.0699, 0.8330)  1 O 1.01
H (0.5439, 0.2700, 0.0644)  1 O 0.99
H (0.6111, 0.2644, 0.7321)  1 O 0.98
H (0.6112, 0.3885, 0.3685)  1 O 0.98
H (0.6240, 0.7573, 0.5278)  1 O 0.99
H (0.7573, 0.6240, 0.0278)  1 O 0.99
H (0.7603, 0.0704, 0.8038)  1 O 0.98
H (0.7635, 0.9640, 0.1653)  1 O 0.99
H (0.8068, 0.3076, 0.6967)  1 O 1.06
H (0.8293, 0.3127, 0.1440)  1 O 1.03
H (0.9640, 0.7635, 0.6653)  1 O 0.99
O (0.0863, 0.4788, 0.2516)  1 H 1.01
O (0.0901, 0.8583, 0.3496)  1 H 0.98
O (0.0909, 0.4206, 0.9278)  1 H 1.02
O (0.1286, 0.9890, 0.8135)  2 Si 1.63-1.69
O (0.1407, 0.9847, 0.0251)  2 Si 1.63-1.70
O (0.2150, 0.3612, 0.6837)  2 Si 1.64-1.71
O (0.2550, 0.4444, 0.5303)  1 H 0.99
O (0.2576, 0.5061, 0.1804)  1 H 0.98
O (0.2884, 0.8593, 0.2803)  1 H 1.06
O (0.2969, 0.8928, 0.6012)  1 H 1.03
O (0.3612, 0.2150, 0.1837)  2 Si 1.64-1.71
O (0.3606, 0.7304, 0.9052)  1 H 0.98
O (0.4206, 0.0909, 0.4278)  1 H 1.02
O (0.4293, 0.9339, 0.9125)  2 Si 1.62-1.68
O (0.4444, 0.2550, 0.0303)  1 H 0.99
O (0.4629, 0.8980, 0.1297)  2 Si 1.65-1.66
O (0.4788, 0.0863, 0.7516)  1 H 1.01
O (0.5061, 0.2576, 0.6804)  1 H 0.98
O (0.5109, 0.8537, 0.5215)  1 H 0.99
O (0.6503, 0.9724, 0.1205)  1 H 0.99
O (0.7304, 0.3606, 0.4052)  1 H 0.98
O (0.8537, 0.5109, 0.0215)  1 H 0.99
O (0.8583, 0.0901, 0.8496)  1 H 0.98
O (0.8593, 0.2884, 0.7803)  1 H 1.06
O (0.8928, 0.2969, 0.1012)  1 H 1.03
O (0.8980, 0.4629, 0.6297)  2 Si 1.65-1.66
O (0.9339, 0.4293, 0.4125)  2 Si 1.62-1.68
O (0.9724, 0.6503, 0.6205)  1 H 0.99
O (0.9847, 0.1407, 0.5251)  2 Si 1.63-1.70
O (0.9890, 0.1286, 0.3135)  2 Si 1.63-1.69

Results
Polymorph energy (0 for the lowest one)   0.658 eV/atom
Energy of formation   -1.419 eV per atom
Total energy   -5.7645 eV/atom
Total magnetization   0.000 μB/f.u.
Crystal system   monoclinic